No. 1
FeS2O8 | PBE+U | relaxed

Cell: 8.9459 8.9459 8.9459 Å, 55.71 55.71 55.71°
Positions (direct):
Fe: 0.0000 0.0000 0.0000
Fe: 0.2054 0.2054 0.2054
Fe: 0.5049 0.5049 0.5049
S: 0.1085 0.3976 0.8149
S: 0.3137 0.8980 0.6048
S: 0.3976 0.8149 0.1085
S: 0.6048 0.3137 0.8980
S: 0.8149 0.1085 0.3976
S: 0.8980 0.6048 0.3137
O: 0.0089 0.0771 0.3780
O: 0.0338 0.4001 0.3339
O: 0.0601 0.2461 0.8451
O: 0.0771 0.3780 0.0089
O: 0.1158 0.9800 0.7371
O: 0.2461 0.8451 0.0601
O: 0.3173 0.3623 0.6870
O: 0.3309 0.7084 0.6314
O: 0.3339 0.0338 0.4001
O: 0.3623 0.6870 0.3173
O: 0.3780 0.0089 0.0771
O: 0.4001 0.3339 0.0338
O: 0.4673 0.8689 0.6453
O: 0.5936 0.7360 0.9834
O: 0.6314 0.3309 0.7084
O: 0.6453 0.4673 0.8689
O: 0.6870 0.3173 0.3623
O: 0.7084 0.6314 0.3309
O: 0.7360 0.9834 0.5936
O: 0.7371 0.1158 0.9800
O: 0.8451 0.0601 0.2461
O: 0.8689 0.6453 0.4673
O: 0.9800 0.7371 0.1158
O: 0.9834 0.5936 0.7360

Results
ρ in g/cm3: 2.7
E in eV per atom: -6.051
DFT formation energy in eV/atom: -1.635
Energy with MP2020 corrections in eV per atom: -6.756
Total magnetization in μB per formula unit: 4.00


No. 2
Sr3Fe2S2O5 | PBE+U | relaxed

Cell: 11.9525 11.9525 11.9525 Å, 160.63 160.63 27.52°
Positions (direct):
Sr: 0.0000 0.0000 0.0000
Sr: 0.1588 0.1588 0.0000
Sr: 0.8412 0.8412 0.0000
Fe: 0.4174 0.4174 0.0000
Fe: 0.5826 0.5826 0.0000
S: 0.3087 0.3087 0.0000
S: 0.6913 0.6913 0.0000
O: 0.0846 0.5846 0.5000
O: 0.4154 0.9154 0.5000
O: 0.5000 0.5000 0.0000
O: 0.5846 0.0846 0.5000
O: 0.9154 0.4154 0.5000

Results
ρ in g/cm3: 4.6
E in eV per atom: -5.914
DFT formation energy in eV/atom: -2.075
Energy with MP2020 corrections in eV per atom: -6.660
Total magnetization in μB per formula unit: 8.00


No. 3
SrFe2S2O | PBE+U | relaxed

Cell: 3.9579 6.4785 9.7414 Å, 90.00 90.00 90.00°
Positions (direct):
Sr: 0.0000 0.0260 0.0000
Sr: 0.5000 0.9740 0.5000
Fe: 0.0000 0.3684 0.3311
Fe: 0.0000 0.3678 0.6657
Fe: 0.5000 0.6322 0.1657
Fe: 0.5000 0.6316 0.8311
S: 0.0000 0.7388 0.6983
S: 0.0000 0.7398 0.2988
S: 0.5000 0.2602 0.7988
S: 0.5000 0.2612 0.1983
O: 0.0000 0.2078 0.4984
O: 0.5000 0.7922 0.9984

Results
ρ in g/cm3: 3.7
E in eV per atom: -5.762
DFT formation energy in eV/atom: -1.488
Energy with MP2020 corrections in eV per atom: -6.796
Total magnetization in μB per formula unit: 0.00


No. 4
Sr2FeSO3 | PBE+U | relaxed

Cell: 4.0050 4.0050 14.5008 Å, 90.00 90.00 90.00°
Positions (direct):
Sr: 0.2500 0.2500 0.0927
Sr: 0.2500 0.2500 0.3383
Sr: 0.7500 0.7500 0.6617
Sr: 0.7500 0.7500 0.9073
Fe: 0.2500 0.2500 0.7920
Fe: 0.7500 0.7500 0.2080
S: 0.2500 0.2500 0.6105
S: 0.7500 0.7500 0.3895
O: 0.2500 0.2500 0.9246
O: 0.2500 0.7500 0.2159
O: 0.2500 0.7500 0.7841
O: 0.7500 0.2500 0.2159
O: 0.7500 0.2500 0.7841
O: 0.7500 0.7500 0.0754

Results
ρ in g/cm3: 4.4
E in eV per atom: -5.948
DFT formation energy in eV/atom: -2.232
Energy with MP2020 corrections in eV per atom: -6.636
Total magnetization in μB per formula unit: 4.00


No. 5
Fe2W4S2O9 | PBE+U | relaxed

Cell: 6.4564 8.5280 10.8034 Å, 106.10 97.24 92.95°
Positions (direct):
Fe: 0.0940 0.3393 0.0357
Fe: 0.1366 0.7018 0.2643
Fe: 0.8634 0.2982 0.7357
Fe: 0.9060 0.6607 0.9643
W: 0.1741 0.2838 0.5445
W: 0.2845 0.9180 0.5165
W: 0.3657 0.5592 0.8969
W: 0.4819 0.1694 0.8066
W: 0.5181 0.8306 0.1934
W: 0.6343 0.4408 0.1031
W: 0.7155 0.0820 0.4835
W: 0.8259 0.7162 0.4555
S: 0.1166 0.9574 0.8314
S: 0.4133 0.3997 0.3215
S: 0.5867 0.6003 0.6785
S: 0.8834 0.0426 0.1686
O: 0.0596 0.4379 0.8846
O: 0.0860 0.9999 0.2172
O: 0.1058 0.8080 0.8766
O: 0.2374 0.1016 0.9358
O: 0.2665 0.9276 0.7271
O: 0.2736 0.5291 0.3629
O: 0.3581 0.5360 0.6577
O: 0.3644 0.3223 0.1742
O: 0.3886 0.2740 0.3904
O: 0.6114 0.7260 0.6096
O: 0.6356 0.6777 0.8258
O: 0.6419 0.4640 0.3423
O: 0.7264 0.4709 0.6371
O: 0.7335 0.0724 0.2729
O: 0.7626 0.8984 0.0642
O: 0.8942 0.1920 0.1234
O: 0.9140 0.0001 0.7828
O: 0.9404 0.5621 0.1154

Results
ρ in g/cm3: 6.2
E in eV per atom: -5.803
DFT formation energy in eV/atom: -0.325
Energy with MP2020 corrections in eV per atom: -7.477
Total magnetization in μB per formula unit: 23.00


No. 6
FeSb2O4 | PBE+U | relaxed

Cell: 5.8781 8.8026 8.7609 Å, 90.00 91.69 90.00°
Positions (direct):
Fe: 0.2270 0.0005 0.4974
Fe: 0.2270 0.4995 0.9974
Fe: 0.7730 0.5005 0.0026
Fe: 0.7730 0.9995 0.5026
Sb: 0.0173 0.1721 0.8346
Sb: 0.0173 0.3279 0.3346
Sb: 0.4880 0.6684 0.3193
Sb: 0.4880 0.8316 0.8193
Sb: 0.5120 0.1684 0.1807
Sb: 0.5120 0.3316 0.6807
Sb: 0.9827 0.6721 0.6654
Sb: 0.9827 0.8279 0.1654
O: 0.0127 0.6048 0.1520
O: 0.0127 0.8952 0.6520
O: 0.2444 0.1841 0.6668
O: 0.2444 0.3159 0.1668
O: 0.2540 0.6610 0.8112
O: 0.2540 0.8390 0.3112
O: 0.4969 0.1401 0.4025
O: 0.4969 0.3599 0.9025
O: 0.5031 0.6401 0.0975
O: 0.5031 0.8599 0.5975
O: 0.7460 0.1610 0.6888
O: 0.7460 0.3390 0.1888
O: 0.7556 0.6841 0.8332
O: 0.7556 0.8159 0.3332
O: 0.9873 0.1048 0.3480
O: 0.9873 0.3952 0.8480

Results
ρ in g/cm3: 5.3
E in eV per atom: -6.082
DFT formation energy in eV/atom: -1.580
Energy with MP2020 corrections in eV per atom: -6.797
Total magnetization in μB per formula unit: 4.00


No. 7
FeSb2O4 | PBE+U | relaxed

Cell: 8.7720 8.7720 6.0610 Å, 90.00 90.00 90.00°
Positions (direct):
Fe: 0.0000 0.5000 0.2500
Fe: 0.0000 0.5000 0.7500
Fe: 0.5000 0.0000 0.2500
Fe: 0.5000 0.0000 0.7500
Sb: 0.1672 0.1775 0.0000
Sb: 0.1775 0.8328 0.5000
Sb: 0.3225 0.3328 0.5000
Sb: 0.3328 0.6775 0.0000
Sb: 0.6672 0.3225 0.0000
Sb: 0.6775 0.6672 0.5000
Sb: 0.8225 0.1672 0.5000
Sb: 0.8328 0.8225 0.0000
O: 0.0996 0.3607 0.5000
O: 0.1393 0.4004 0.0000
O: 0.1791 0.6791 0.2500
O: 0.1791 0.6791 0.7500
O: 0.3209 0.1791 0.2500
O: 0.3209 0.1791 0.7500
O: 0.3607 0.9004 0.0000
O: 0.4004 0.8607 0.5000
O: 0.5996 0.1393 0.5000
O: 0.6393 0.0996 0.0000
O: 0.6791 0.8209 0.2500
O: 0.6791 0.8209 0.7500
O: 0.8209 0.3209 0.2500
O: 0.8209 0.3209 0.7500
O: 0.8607 0.5996 0.0000
O: 0.9004 0.6393 0.5000

Results
ρ in g/cm3: 5.2
E in eV per atom: -6.210
DFT formation energy in eV/atom: -1.708
Energy with MP2020 corrections in eV per atom: -6.925


No. 8
FeSbO4 | PBE+U | relaxed

Cell: 4.7107 4.7107 9.3553 Å, 90.00 90.00 90.77°
Positions (direct):
Fe: 0.0000 0.0000 0.0000
Fe: 0.0000 0.0000 0.3233
Fe: 0.5000 0.5000 0.4852
Sb: 0.0000 0.0000 0.6540
Sb: 0.5000 0.5000 0.1638
Sb: 0.5000 0.5000 0.8255
O: 0.1934 0.1934 0.8235
O: 0.1952 0.1952 0.4961
O: 0.1976 0.1976 0.1559
O: 0.3046 0.6954 0.3224
O: 0.3055 0.6945 0.6640
O: 0.3085 0.6915 0.9904
O: 0.6915 0.3085 0.9904
O: 0.6954 0.3046 0.3224
O: 0.6945 0.3055 0.6640
O: 0.8024 0.8024 0.1559
O: 0.8048 0.8048 0.4961
O: 0.8066 0.8066 0.8235

Results
ρ in g/cm3: 5.8
E in eV per atom: -6.383
DFT formation energy in eV/atom: -1.818
Energy with MP2020 corrections in eV per atom: -7.217


No. 9
FeSb2O4 | PBE+U | relaxed

Cell: 8.2785 8.2785 5.7679 Å, 90.00 90.00 90.00°
Positions (direct):
Fe: 0.0000 0.5000 0.2338
Fe: 0.0000 0.5000 0.7662
Fe: 0.5000 0.0000 0.2662
Fe: 0.5000 0.0000 0.7338
Sb: 0.0545 0.8288 0.5000
Sb: 0.1712 0.0545 0.0000
Sb: 0.3115 0.4097 0.0000
Sb: 0.4097 0.6885 0.5000
Sb: 0.5903 0.3115 0.5000
Sb: 0.6885 0.5903 0.0000
Sb: 0.8288 0.9455 0.0000
Sb: 0.9455 0.1712 0.5000
O: 0.1249 0.5945 0.5000
O: 0.1345 0.5873 0.0000
O: 0.1451 0.3039 0.2325
O: 0.1451 0.3039 0.7675
O: 0.3039 0.8549 0.2675
O: 0.3039 0.8549 0.7325
O: 0.4055 0.1249 0.0000
O: 0.4127 0.1345 0.5000
O: 0.5873 0.8655 0.5000
O: 0.5945 0.8751 0.0000
O: 0.6961 0.1451 0.2675
O: 0.6961 0.1451 0.7325
O: 0.8549 0.6961 0.2325
O: 0.8549 0.6961 0.7675
O: 0.8655 0.4127 0.0000
O: 0.8751 0.4055 0.5000

Results
ρ in g/cm3: 6.1
E in eV per atom: -5.770
DFT formation energy in eV/atom: -1.268
Energy with MP2020 corrections in eV per atom: -6.485
Total magnetization in μB per formula unit: 4.84


No. 10
FeSb2O4 | PBE+U | relaxed

Cell: 8.1255 8.1255 5.8389 Å, 90.00 90.00 90.00°
Positions (direct):
Fe: 0.0000 0.5000 0.2302
Fe: 0.0000 0.5000 0.7698
Fe: 0.5000 0.0000 0.2698
Fe: 0.5000 0.0000 0.7302
Sb: 0.1378 0.1643 0.5000
Sb: 0.1643 0.8622 0.0000
Sb: 0.3418 0.6507 0.5000
Sb: 0.3493 0.3418 0.0000
Sb: 0.6507 0.6582 0.0000
Sb: 0.6582 0.3493 0.5000
Sb: 0.8357 0.1378 0.0000
Sb: 0.8622 0.8357 0.5000
O: 0.0917 0.6304 0.5000
O: 0.1403 0.6074 0.0000
O: 0.1671 0.3317 0.2409
O: 0.1671 0.3317 0.7591
O: 0.3317 0.8329 0.2591
O: 0.3317 0.8329 0.7409
O: 0.3696 0.0917 0.0000
O: 0.3926 0.1403 0.5000
O: 0.6074 0.8597 0.5000
O: 0.6304 0.9083 0.0000
O: 0.6683 0.1671 0.2591
O: 0.6683 0.1671 0.7409
O: 0.8329 0.6683 0.2409
O: 0.8329 0.6683 0.7591
O: 0.8597 0.3926 0.0000
O: 0.9083 0.3696 0.5000

Results
ρ in g/cm3: 6.3
E in eV per atom: -6.024
DFT formation energy in eV/atom: -1.522
Energy with MP2020 corrections in eV per atom: -6.739
Total magnetization in μB per formula unit: 4.43


No. 11
FeSbO4 | PBE+U | relaxed

Cell: 5.5719 5.7121 5.5713 Å, 60.81 90.00 90.00°
Positions (direct):
O: 0.2500 0.8975 0.3013
O: 0.0000 0.5831 0.2084
O: 0.5000 0.5831 0.7084
O: 0.7500 0.1025 0.1988
O: 0.2500 0.1025 0.6987
O: 0.7500 0.8975 0.8012
O: 0.0000 0.4169 0.7916
O: 0.5000 0.4169 0.2916
Sb: 0.7500 0.5000 0.0000
Sb: 0.2500 0.5000 0.5000
Fe: 0.5000 0.0000 0.5000
Fe: 0.0000 0.0000 0.0000

Results
ρ in g/cm3: 5.2
E in eV per atom: -6.370
DFT formation energy in eV/atom: -1.806
Energy with MP2020 corrections in eV per atom: -7.204
Total magnetization in μB per formula unit: 0.00


No. 12
FeSb2O4 | PBE+U | relaxed

Cell: 8.5722 8.5722 6.6136 Å, 90.00 90.00 90.00°
Positions (direct):
Fe: 0.0000 0.5000 0.2393
Fe: 0.0000 0.5000 0.7607
Fe: 0.5000 0.0000 0.2607
Fe: 0.5000 0.0000 0.7393
Sb: 0.0612 0.8080 0.5000
Sb: 0.1920 0.0612 0.0000
Sb: 0.2964 0.3204 0.5000
Sb: 0.3204 0.7036 0.0000
Sb: 0.6796 0.2964 0.0000
Sb: 0.7036 0.6796 0.5000
Sb: 0.8080 0.9388 0.0000
Sb: 0.9388 0.1920 0.5000
O: 0.1160 0.6059 0.0000
O: 0.1234 0.2652 0.2987
O: 0.1234 0.2652 0.7013
O: 0.1338 0.5930 0.5000
O: 0.2652 0.8766 0.2013
O: 0.2652 0.8766 0.7987
O: 0.3941 0.1160 0.5000
O: 0.4070 0.1338 0.0000
O: 0.5930 0.8662 0.0000
O: 0.6059 0.8840 0.5000
O: 0.7348 0.1234 0.2013
O: 0.7348 0.1234 0.7987
O: 0.8662 0.4070 0.5000
O: 0.8766 0.7348 0.2987
O: 0.8766 0.7348 0.7013
O: 0.8840 0.3941 0.0000

Results
ρ in g/cm3: 5.0
E in eV per atom: -6.109
DFT formation energy in eV/atom: -1.607
Energy with MP2020 corrections in eV per atom: -6.824
Total magnetization in μB per formula unit: 4.00


No. 13
FeSbO4 | PBE+U | relaxed

Cell: 4.7079 5.6498 5.6498 Å, 67.11 91.82 91.82°
Positions (direct):
Sb: 0.0000 0.0000 0.0000
Sb: 0.0000 0.5000 0.5000
O: 0.8072 0.8464 0.3464
O: 0.1928 0.6536 0.1536
O: 0.6957 0.3478 0.3478
O: 0.8072 0.3464 0.8464
O: 0.1928 0.1536 0.6536
O: 0.6957 0.8478 0.8478
O: 0.3043 0.6522 0.6522
O: 0.3043 0.1522 0.1522
Fe: 0.5000 0.0000 0.5000
Fe: 0.5000 0.5000 0.0000

Results
ρ in g/cm3: 5.8
E in eV per atom: -6.399
DFT formation energy in eV/atom: -1.834
Energy with MP2020 corrections in eV per atom: -7.233


No. 14
FeSbO4 | PBE+U | relaxed

Cell: 5.6393 5.6393 5.6393 Å, 107.86 107.86 112.74°
Positions (direct):
Fe: 0.0000 0.0000 0.0000
Fe: 0.7500 0.2500 0.5000
Sb: 0.2672 0.7672 0.5000
Sb: 0.5172 0.5172 0.0000
O: 0.2064 0.5148 0.6916
O: 0.2648 0.0732 0.8084
O: 0.2648 0.4564 0.1916
O: 0.3094 0.0060 0.3034
O: 0.7026 0.0060 0.6966
O: 0.7560 0.5594 0.8034
O: 0.7560 0.9526 0.1966
O: 0.8232 0.5148 0.3084

Results
ρ in g/cm3: 5.8
E in eV per atom: -6.399
Largest piezoelectric modulus in C/m2: 0.252
DFT formation energy in eV/atom: -1.834
Energy with MP2020 corrections in eV per atom: -7.233